1.
## SiO2 (PBE-GGA)

Data for a geometry-optimized SiO2 structure.

```
data_SiO2
_chemical_formula_sum 'Si18 O36'
_cell_length_a 14.4934
_cell_length_b 14.4934
_cell_length_c 5.0650
_cell_angle_alpha 90.00
_cell_angle_beta 90.00
_cell_angle_gamma 120.00
_space_group_name_H-M_alt 'R -3 m'
_space_group_IT_number 166
_space_group_name_Hall '-R 3 2"'
loop_
_atom_site_label
_atom_site_type_symbol
_atom_site_fract_x
_atom_site_fract_y
_atom_site_fract_z
Si1 Si 0.0807 0.5404 0.2341
O1 O 0.0000 0.1774 0.5000
O2 O 0.0000 0.5000 0.0000
O3 O 0.0000 0.5000 0.5000
```

Calculated values
* energy of formation from the pure elements: -69.96 kcal/mol of atoms
* spin magnetization: 0.00 μB per cell
* E: -7.68 eV/atom

2.
## Ba3Al2O12 (PBE-GGA)

Data for a geometry-optimized Ba3Al2O12 structure.

```
data_Ba3Al2O12
_chemical_formula_sum 'Ba24 Al16 O96'
_cell_length_a 14.311
_cell_length_b 14.311
_cell_length_c 14.311
_cell_angle_alpha 90.00
_cell_angle_beta 90.00
_cell_angle_gamma 90.00
_space_group_name_H-M_alt 'I a -3 d'
_space_group_IT_number 230
_space_group_name_Hall '-I 4bd 2c 3'
loop_
_atom_site_label
_atom_site_type_symbol
_atom_site_fract_x
_atom_site_fract_y
_atom_site_fract_z
Ba1 Ba 0.000 0.250 0.125
Al1 Al 0.000 0.000 0.000
O1 O 0.010 0.054 0.618
```

Calculated values
* energy of formation from the pure elements: -41.00 kcal/mol of atoms
* spin magnetization: 95.98 μB per cell
* E: -5.56 eV/atom

3.
## Na10Ca3Ge5P12O48 (PBE-GGA)

Data for a geometry-optimized Na10Ca3Ge5P12O48 structure.

```
data_Na10Ca3Ge5P12O48
_chemical_formula_sum 'Na30 Ca9 Ge15 P36 O144'
_cell_length_a 8.871
_cell_length_b 15.302
_cell_length_c 21.845
_cell_angle_alpha 90.00
_cell_angle_beta 90.06
_cell_angle_gamma 90.18
_space_group_name_H-M_alt 'P 1'
_space_group_IT_number 1
loop_
_space_group_symop_operation_xyz
'x,y,z'
loop_
_atom_site_label
_atom_site_type_symbol
_atom_site_fract_x
_atom_site_fract_y
_atom_site_fract_z
Na1 Na 0.000 0.000 0.000
Na2 Na 0.001 0.327 0.330
Na3 Na 0.026 0.691 0.002
Na4 Na 0.146 0.515 0.087
Na5 Na 0.157 0.855 0.912
Na6 Na 0.168 0.514 0.587
Na7 Na 0.172 0.165 0.250
Na8 Na 0.178 0.856 0.414
Na9 Na 0.184 0.180 0.746
Na10 Na 0.311 0.690 0.501
Na11 Na 0.318 0.349 0.170
Na12 Na 0.332 0.000 0.502
Na13 Na 0.340 0.669 0.170
Na14 Na 0.357 0.354 0.501
Na15 Na 0.364 0.697 0.830
Na16 Na 0.479 0.855 0.001
Na17 Na 0.503 0.500 0.001
Na18 Na 0.523 0.188 0.999
Na19 Na 0.652 0.347 0.415
Na20 Na 0.658 0.356 0.911
Na21 Na 0.661 0.680 0.252
Na22 Na 0.667 0.014 0.587
Na23 Na 0.669 0.014 0.088
Na24 Na 0.684 0.680 0.747
Na25 Na 0.809 0.188 0.502
Na26 Na 0.835 0.498 0.500
Na27 Na 0.857 0.855 0.502
Na28 Na 0.864 0.197 0.829
Na29 Na 0.973 0.690 0.329
Na30 Na 0.976 0.355 0.001
Ca1 Ca 0.162 0.514 0.228
Ca2 Ca 0.166 0.848 0.581
Ca3 Ca 0.171 0.171 0.388
Ca4 Ca 0.174 0.858 0.076
Ca5 Ca 0.177 0.181 0.883
Ca6 Ca 0.661 0.687 0.393
Ca7 Ca 0.664 0.339 0.072
Ca8 Ca 0.668 0.348 0.579
Ca9 Ca 0.677 0.680 0.885
Ge1 Ge 0.163 0.174 0.103
Ge2 Ge 0.164 0.851 0.762
Ge3 Ge 0.166 0.513 0.728
Ge4 Ge 0.166 0.513 0.931
Ge5 Ge 0.167 0.852 0.265
Ge6 Ge 0.168 0.180 0.603
Ge7 Ge 0.171 0.514 0.430
Ge8 Ge 0.664 0.351 0.762
Ge9 Ge 0.665 0.681 0.604
Ge10 Ge 0.666 0.013 0.728
Ge11 Ge 0.666 0.014 0.431
Ge12 Ge 0.667 0.012 0.930
Ge13 Ge 0.667 0.347 0.265
Ge14 Ge 0.671 0.013 0.230
Ge15 Ge 0.678 0.684 0.102
P1 P 0.004 0.706 0.162
P2 P 0.005 0.379 0.826
P3 P 0.009 0.035 0.500
P4 P 0.010 0.001 0.165
P5 P 0.031 0.330 0.495
P6 P 0.042 0.661 0.825
P7 P 0.300 0.673 0.327
P8 P 0.302 0.332 0.998
P9 P 0.323 0.004 0.665
P10 P 0.324 0.038 0.996
P11 P 0.325 0.691 0.666
P12 P 0.335 0.371 0.328
P13 P 0.357 0.347 0.665
P14 P 0.373 0.675 0.996
P15 P 0.389 0.002 0.326
P16 P 0.447 0.501 0.827
P17 P 0.461 0.175 0.499
P18 P 0.478 0.849 0.165
P19 P 0.505 0.879 0.827
P20 P 0.511 0.189 0.165
P21 P 0.512 0.537 0.499
P22 P 0.526 0.834 0.501
P23 P 0.537 0.503 0.161
P24 P 0.543 0.161 0.825
P25 P 0.793 0.161 0.327
P26 P 0.806 0.832 0.997
P27 P 0.823 0.503 0.664
P28 P 0.824 0.537 0.997
P29 P 0.825 0.191 0.666
P30 P 0.830 0.879 0.328
P31 P 0.856 0.847 0.665
P32 P 0.866 0.503 0.332
P33 P 0.874 0.172 0.992
P34 P 0.948 0.001 0.827
P35 P 0.965 0.675 0.496
P36 P 0.971 0.335 0.161
O1 O 0.002 0.187 0.663
O2 O 0.004 0.537 0.990
O3 O 0.007 0.880 0.324
O4 O 0.012 0.960 0.102
O5 O 0.038 0.098 0.557
O6 O 0.038 0.429 0.889
O7 O 0.045 0.083 0.826
O8 O 0.045 0.916 0.821
O9 O 0.046 0.280 0.436
O10 O 0.047 0.764 0.219
O11 O 0.057 0.585 0.493
O12 O 0.059 0.742 0.101
O13 O 0.064 0.246 0.163
O14 O 0.066 0.942 0.510
O15 O 0.067 0.287 0.826
O16 O 0.068 0.614 0.166
O17 O 0.071 0.429 0.773
O18 O 0.073 0.751 0.508
O19 O 0.083 0.067 0.443
O20 O 0.085 0.409 0.166
O21 O 0.092 0.606 0.772
O22 O 0.097 0.948 0.215
O23 O 0.100 0.089 0.162
O24 O 0.110 0.620 0.887
O25 O 0.111 0.282 0.551
O26 O 0.120 0.420 0.492
O27 O 0.125 0.753 0.822
O28 O 0.203 0.761 0.328
O29 O 0.213 0.422 0.993
O30 O 0.226 0.621 0.385
O31 O 0.235 0.289 0.059
O32 O 0.236 0.949 0.716
O33 O 0.242 0.094 0.663
O34 O 0.247 0.424 0.678
O35 O 0.249 0.077 0.941
O36 O 0.261 0.261 0.662
O37 O 0.262 0.719 0.605
O38 O 0.263 0.281 0.335
O39 O 0.264 0.597 0.677
O40 O 0.265 0.752 0.005
O41 O 0.266 0.629 0.267
O42 O 0.268 0.944 0.002
O43 O 0.276 0.274 0.944
O44 O 0.280 0.586 0.992
O45 O 0.281 0.408 0.268
O46 O 0.285 0.080 0.324
O47 O 0.287 0.758 0.719
O48 O 0.294 0.096 0.056
O49 O 0.295 0.916 0.321
O50 O 0.298 0.431 0.387
O51 O 0.315 0.960 0.603
O52 O 0.327 0.874 0.823
O53 O 0.332 0.536 0.492
O54 O 0.333 0.189 0.163
O55 O 0.338 0.510 0.774
O56 O 0.348 0.831 0.213
O57 O 0.357 0.157 0.557
O58 O 0.357 0.490 0.890
O59 O 0.359 0.852 0.511
O60 O 0.368 0.195 0.443
O61 O 0.368 0.519 0.169
O62 O 0.375 0.172 0.823
O63 O 0.414 0.869 0.102
O64 O 0.426 0.366 0.603
O65 O 0.461 0.690 0.937
O66 O 0.465 0.692 0.332
O67 O 0.471 0.351 0.002
O68 O 0.478 0.993 0.389
O69 O 0.479 0.661 0.054
O70 O 0.482 0.331 0.716
O71 O 0.493 0.019 0.678
O72 O 0.497 0.008 0.273
O73 O 0.502 0.687 0.664
O74 O 0.503 0.038 0.991
O75 O 0.512 0.366 0.326
O76 O 0.537 0.599 0.557
O77 O 0.537 0.929 0.889
O78 O 0.539 0.781 0.444
O79 O 0.544 0.584 0.827
O80 O 0.545 0.416 0.821
O81 O 0.546 0.265 0.213
O82 O 0.552 0.086 0.492
O83 O 0.556 0.457 0.101
O84 O 0.560 0.758 0.162
O85 O 0.567 0.787 0.826
O86 O 0.568 0.444 0.508
O87 O 0.570 0.212 0.102
O88 O 0.571 0.928 0.773
O89 O 0.573 0.098 0.179
O90 O 0.573 0.250 0.508
O91 O 0.588 0.574 0.443
O92 O 0.591 0.924 0.178
O93 O 0.593 0.105 0.772
O94 O 0.607 0.788 0.558
O95 O 0.608 0.448 0.216
O96 O 0.610 0.120 0.887
O97 O 0.617 0.923 0.494
O98 O 0.618 0.595 0.161
O99 O 0.625 0.253 0.822
O100 O 0.711 0.251 0.322
O101 O 0.714 0.921 0.992
O102 O 0.727 0.788 0.055
O103 O 0.733 0.120 0.389
O104 O 0.736 0.449 0.715
O105 O 0.743 0.595 0.662
O106 O 0.746 0.572 0.941
O107 O 0.746 0.924 0.678
O108 O 0.752 0.103 0.273
O109 O 0.760 0.580 0.338
O110 O 0.762 0.219 0.605
O111 O 0.762 0.760 0.663
O112 O 0.763 0.247 0.999
O113 O 0.763 0.926 0.273
O114 O 0.764 0.097 0.677
O115 O 0.771 0.443 0.006
O116 O 0.775 0.785 0.326
O117 O 0.782 0.082 0.990
O118 O 0.782 0.412 0.328
O119 O 0.787 0.776 0.941
O120 O 0.788 0.258 0.719
O121 O 0.792 0.929 0.390
O122 O 0.802 0.601 0.054
O123 O 0.816 0.460 0.602
O124 O 0.827 0.374 0.822
O125 O 0.827 0.704 0.162
O126 O 0.830 0.035 0.493
O127 O 0.838 0.010 0.774
O128 O 0.841 0.019 0.178
O129 O 0.849 0.660 0.551
O130 O 0.857 0.989 0.889
O131 O 0.861 0.328 0.219
O132 O 0.863 0.346 0.506
O133 O 0.874 0.672 0.824
O134 O 0.888 0.693 0.436
O135 O 0.893 0.341 0.100
O136 O 0.923 0.866 0.603
O137 O 0.960 0.186 0.933
O138 O 0.961 0.516 0.276
O139 O 0.962 0.177 0.326
O140 O 0.972 0.489 0.392
O141 O 0.974 0.852 0.004
O142 O 0.982 0.832 0.716
O143 O 0.983 0.157 0.049
O144 O 0.993 0.519 0.678
```

Calculated values
* energy of formation from the pure elements: -59.17 kcal/mol of atoms
* spin magnetization: 0.00 μB per cell
* E: -6.56 eV/atom

4.
## NbSi2 (PBE-GGA)

Data for a geometry-optimized NbSi2 structure.

```
data_NbSi2
_chemical_formula_sum 'Nb3 Si6'
_cell_length_a 4.8180
_cell_length_b 4.8180
_cell_length_c 6.6236
_cell_angle_alpha 90.00
_cell_angle_beta 90.00
_cell_angle_gamma 120.00
_space_group_name_H-M_alt 'P 64 2 2'
_space_group_IT_number 181
_space_group_name_Hall 'P 64 2 (0 0 2)'
loop_
_atom_site_label
_atom_site_type_symbol
_atom_site_fract_x
_atom_site_fract_y
_atom_site_fract_z
Nb1 Nb 0.0000 0.5000 0.3333
Si1 Si 0.1592 0.3185 0.0000
```

Calculated values
* energy of formation from the pure elements: -11.57 kcal/mol of atoms
* E: -7.53 eV/atom

The lowest E belongs to which entry?
SiO2